# 1
Pr6Si4Ni7 | PBE | relaxed

Properties
Calculated formation energy = -0.5975 eV/atom
Magnetic moment = 0.22 μB/f.u.

Lattice parameters (Å, degrees): 5.952 7.438 29.786 90.00 90.00 90.00
Space group Pbcm (No. 57)
Inequivalent atoms, fractional coordinates:
Pr (0.106, 0.112, 0.182) [8 per cell]
Pr (0.124, 0.750, 0.000) [4 per cell]
Pr (0.373, 0.021, 0.750) [4 per cell]
Pr (0.386, 0.117, 0.079) [8 per cell]
Si (0.109, 0.035, 0.583) [8 per cell]
Si (0.388, 0.731, 0.672) [8 per cell]
Ni (0.146, 0.743, 0.610) [8 per cell]
Ni (0.188, 0.675, 0.750) [4 per cell]
Ni (0.341, 0.028, 0.648) [8 per cell]
Ni (0.350, 0.094, 0.518) [8 per cell]

---

# 2
Pr2Si3Ni | PBE | relaxed

Properties
Calculated formation energy = -0.6650 eV/atom
Magnetic moment = 0.02 μB/f.u.

Lattice parameters (Å, degrees): 4.0802 4.0802 8.4761 90.00 90.00 120.00
Space group P-6m2 (No. 187)
Inequivalent atoms, fractional coordinates:
Pr (0.0000, 0.0000, 0.2411) [2 per cell]
Si (0.3333, 0.6667, 0.5000) [1 per cell]
Si (0.6667, 0.3333, 0.0000) [1 per cell]
Si (0.6667, 0.3333, 0.5000) [1 per cell]
Ni (0.3333, 0.6667, 0.0000) [1 per cell]

---

# 3
Pr6Si3Ni2 | PBE | relaxed

Properties
Calculated formation energy = -0.4552 eV/atom
Magnetic moment = 0.23 μB/f.u.

Lattice parameters (Å, degrees): 11.956 4.571 12.044 90.00 119.73 90.00
Space group Pm (No. 6)
Inequivalent atoms, fractional coordinates:
Pr (0.000, 0.000, 0.000) [1 per cell]
Pr (0.003, 0.500, 0.232) [1 per cell]
Pr (0.144, 0.000, 0.515) [1 per cell]
Pr (0.252, 0.000, 0.864) [1 per cell]
Pr (0.289, 0.500, 0.138) [1 per cell]
Pr (0.383, 0.500, 0.483) [1 per cell]
Pr (0.529, 0.000, 0.777) [1 per cell]
Pr (0.533, 0.500, 0.011) [1 per cell]
Pr (0.631, 0.500, 0.383) [1 per cell]
Pr (0.755, 0.500, 0.766) [1 per cell]
Pr (0.769, 0.000, 0.237) [1 per cell]
Pr (0.906, 0.000, 0.628) [1 per cell]
Si (0.052, 0.500, 0.846) [1 per cell]
Si (0.099, 0.500, 0.668) [1 per cell]
Si (0.324, 0.500, 0.713) [1 per cell]
Si (0.429, 0.000, 0.330) [1 per cell]
Si (0.611, 0.000, 0.561) [1 per cell]
Si (0.920, 0.500, 0.445) [1 per cell]
Ni (0.206, 0.000, 0.283) [1 per cell]
Ni (0.477, 0.000, 0.153) [1 per cell]
Ni (0.766, 0.250, 0.004) [2 per cell]

---

# 4
PrSi2Ni | PBE | relaxed

Properties
Calculated formation energy = -0.8097 eV/atom

Lattice parameters (Å, degrees): 4.169 16.468 4.066 90.00 90.00 90.00
Space group Cmcm (No. 63)
Inequivalent atoms, fractional coordinates:
Pr (0.000, 0.107, 0.250) [4 per cell]
Si (0.000, 0.250, 0.750) [4 per cell]
Si (0.000, 0.459, 0.250) [4 per cell]
Ni (0.000, 0.318, 0.250) [4 per cell]

---

# 5
PrSi2Ni9 | PBE | relaxed

Properties
Calculated formation energy = -0.4596 eV/atom

Lattice parameters (Å, degrees): 9.836 9.836 6.210 90.00 90.00 90.00
Space group I4_1/amd (No. 141, origin choice 2)
Inequivalent atoms, fractional coordinates:
Pr (0.000, 0.250, 0.375) [4 per cell]
Si (0.000, 0.000, 0.000) [8 per cell]
Ni (0.000, 0.250, 0.875) [4 per cell]
Ni (0.125, 0.046, 0.689) [32 per cell]

---

# 6
Pr7Si5Ni2 | PBE | relaxed

Properties
Calculated formation energy = -0.6477 eV/atom
Magnetic moment = 0.01 μB/f.u.

Lattice parameters (Å, degrees): 23.276 4.310 13.751 90.00 90.00 90.00
Space group Pnma (No. 62)
Inequivalent atoms, fractional coordinates:
Pr (0.021, 0.250, 0.117) [4 per cell]
Pr (0.068, 0.250, 0.543) [4 per cell]
Pr (0.103, 0.750, 0.310) [4 per cell]
Pr (0.118, 0.750, 0.751) [4 per cell]
Pr (0.133, 0.750, 0.026) [4 per cell]
Pr (0.225, 0.250, 0.400) [4 per cell]
Pr (0.238, 0.250, 0.666) [4 per cell]
Si (0.004, 0.250, 0.341) [4 per cell]
Si (0.073, 0.250, 0.895) [4 per cell]
Si (0.164, 0.250, 0.181) [4 per cell]
Si (0.167, 0.750, 0.534) [4 per cell]
Si (0.180, 0.250, 0.879) [4 per cell]
Ni (0.020, 0.250, 0.744) [4 per cell]
Ni (0.228, 0.250, 0.033) [4 per cell]

---

# 7
PrSiNi | PBE | relaxed

Properties
Calculated formation energy = -0.7083 eV/atom

Lattice parameters (Å, degrees): 4.166 4.166 14.015 90.00 90.00 90.00
Space group I4_1md (No. 109)
Inequivalent atoms, fractional coordinates:
Pr (0.000, 0.000, 0.000) [4 per cell]
Si (0.000, 0.000, 0.419) [4 per cell]
Ni (0.000, 0.000, 0.588) [4 per cell]

---

# 8
Pr14Si11Ni6 | PBE | relaxed

Properties
Calculated formation energy = -0.6411 eV/atom
Magnetic moment = 0.02 μB/f.u.

Lattice parameters (Å, degrees): 34.379 4.282 21.605 90.00 114.33 90.00
Space group C2/m (No. 12)
Inequivalent atoms, fractional coordinates:
Pr (0.000, 0.000, 0.000) [2 per cell]
Pr (0.000, 0.500, 0.500) [2 per cell]
Pr (0.003, 0.000, 0.179) [4 per cell]
Pr (0.004, 0.500, 0.681) [4 per cell]
Pr (0.105, 0.500, 0.286) [4 per cell]
Pr (0.107, 0.000, 0.786) [4 per cell]
Pr (0.110, 0.000, 0.962) [4 per cell]
Pr (0.110, 0.500, 0.463) [4 per cell]
Pr (0.114, 0.000, 0.147) [4 per cell]
Pr (0.114, 0.500, 0.644) [4 per cell]
Pr (0.209, 0.000, 0.323) [4 per cell]
Pr (0.211, 0.000, 0.926) [4 per cell]
Pr (0.212, 0.000, 0.728) [4 per cell]
Pr (0.213, 0.000, 0.124) [4 per cell]
Pr (0.213, 0.000, 0.524) [4 per cell]
Si (0.044, 0.000, 0.621) [4 per cell]
Si (0.044, 0.500, 0.120) [4 per cell]
Si (0.066, 0.000, 0.344) [4 per cell]
Si (0.069, 0.500, 0.844) [4 per cell]
Si (0.076, 0.000, 0.534) [4 per cell]
Si (0.076, 0.500, 0.034) [4 per cell]
Si (0.182, 0.500, 0.806) [4 per cell]
Si (0.184, 0.500, 0.007) [4 per cell]
Si (0.185, 0.500, 0.409) [4 per cell]
Si (0.186, 0.500, 0.208) [4 per cell]
Si (0.192, 0.500, 0.611) [4 per cell]
Ni (0.031, 0.000, 0.420) [4 per cell]
Ni (0.031, 0.500, 0.920) [4 per cell]
Ni (0.144, 0.000, 0.386) [4 per cell]
Ni (0.147, 0.500, 0.886) [4 per cell]
Ni (0.151, 0.000, 0.585) [4 per cell]
Ni (0.152, 0.500, 0.083) [4 per cell]